Density functional theory data (PBE) for a geometry-optimized Mg3SO9 structure.

a = 5.7107 Å, b = 7.1097 Å, c = 7.1301 Å
α = 74.89°, β = 66.96°, γ = 86.15°
With the nearest neighbours (Å) after each atom.
Sites, in units of the cell vectors:
Mg 0.0000 0.0000 0.0000  5 O 1.98-2.14
Mg 0.0368 0.9805 0.4815  4 O 1.97-2.10
Mg 0.8475 0.4344 0.2224  3 O 1.95-1.96
S 0.8745 0.6633 0.4418  1 O 1.64
O 0.1501 0.0358 0.6904  1 O 1.53
O 0.2317 0.0284 0.1548  1 O 1.46
O 0.2816 0.7402 0.3645  1 O 1.36
O 0.3604 0.8443 0.1589  2 O 1.36-1.46
O 0.7002 0.1126 0.2747  2 O 1.48-1.51
O 0.7828 0.1768 0.4208  1 O 1.48
O 0.8302 0.2527 0.0626  1 O 1.51
O 0.9106 0.9019 0.7949  1 O 1.53
O 0.9201 0.7075 0.1924  1 S 1.64

Output
Raw total energy: -4.93 eV/atom
Space group: P1 (1)
Energy above the lowest structure with this stoichiometry: 0.00 eV/f.u.
Total moment: 0.00 μB per formula unit



Density functional theory data (PBE) for a geometry-optimized Zn3Sn2O7 structure.

a = 9.9098 Å, b = 9.9098 Å, c = 5.3885 Å
α = 90.00°, β = 90.00°, γ = 31.80°
With the nearest neighbours (Å) after each atom.
Sites, in units of the cell vectors:
Zn 0.0772 0.5152 0.4360  4 O 2.02-2.07
Zn 0.2436 0.7564 0.5000  4 O 2.02-2.14
Zn 0.4848 0.9228 0.4360  4 O 2.02-2.07
Zn 0.5152 0.0772 0.9360  4 O 2.02-2.07
Zn 0.7564 0.2436 0.0000  4 O 2.02-2.14
Zn 0.9228 0.4848 0.9360  4 O 2.02-2.07
Sn 0.1430 0.6493 0.9724  6 O 2.06-2.16
Sn 0.3507 0.8570 0.9724  6 O 2.06-2.16
Sn 0.6493 0.1430 0.4724  6 O 2.06-2.16
Sn 0.8570 0.3507 0.4724  6 O 2.06-2.16
O 0.0512 0.2194 0.1449  1 Zn 2.03, 2 Sn 2.06-2.11
O 0.1215 0.8785 0.8768  2 Zn 2.09-2.14, 2 Sn 2.16
O 0.1600 0.4282 0.0623  3 Zn 2.02-2.07, 1 Sn 2.11
O 0.2194 0.0512 0.6449  1 Zn 2.03, 2 Sn 2.06-2.11
O 0.3421 0.5078 0.3017  1 Zn 2.02, 2 Sn 2.07-2.12
O 0.4282 0.1600 0.5623  3 Zn 2.02-2.07, 1 Sn 2.11
O 0.4922 0.6579 0.3017  1 Zn 2.02, 2 Sn 2.07-2.12
O 0.5078 0.3421 0.8017  1 Zn 2.02, 2 Sn 2.07-2.12
O 0.5718 0.8400 0.0623  3 Zn 2.02-2.07, 1 Sn 2.11
O 0.6579 0.4922 0.8017  1 Zn 2.02, 2 Sn 2.07-2.12
O 0.7806 0.9488 0.1449  1 Zn 2.03, 2 Sn 2.06-2.11
O 0.8400 0.5718 0.5623  3 Zn 2.02-2.07, 1 Sn 2.11
O 0.8785 0.1215 0.3768  2 Zn 2.09-2.14, 2 Sn 2.16
O 0.9488 0.7806 0.6449  1 Zn 2.03, 2 Sn 2.06-2.11

Output
Largest piezoelectric modulus: 1.12 C/m2
Raw total energy: -5.35 eV/atom
Space group: Cmc2_1 (36)
Total moment: 0.00 μB per formula unit



Density functional theory data (PBE) for a geometry-optimized LiSn2P3O12 structure.

a = 8.6148 Å, b = 8.8047 Å, c = 14.9295 Å
α = 90.00°, β = 124.47°, γ = 90.00°
With the nearest neighbours (Å) after each atom.
Sites, in units of the cell vectors:
Li 0.2287 0.0960 0.3032  4 O 1.96-2.03
Li 0.2287 0.4040 0.8032  4 O 1.96-2.03
Li 0.7713 0.5960 0.1968  4 O 1.96-2.03
Li 0.7713 0.9040 0.6968  4 O 1.96-2.03
Sn 0.1500 0.5324 0.3942  6 O 2.02-2.15
Sn 0.1500 0.9676 0.8942  6 O 2.02-2.15
Sn 0.3576 0.5303 0.1156  6 O 2.02-2.09
Sn 0.3576 0.9697 0.6156  6 O 2.02-2.09
Sn 0.6424 0.0303 0.3844  6 O 2.02-2.09
Sn 0.6424 0.4697 0.8844  6 O 2.02-2.09
Sn 0.8500 0.0324 0.1058  6 O 2.02-2.15
Sn 0.8500 0.4676 0.6058  6 O 2.02-2.15
P 0.0379 0.1139 0.6509  4 O 1.52-1.57
P 0.0379 0.3861 0.1509  4 O 1.52-1.57
P 0.2552 0.6122 0.6477  4 O 1.54-1.56
P 0.2552 0.8878 0.1477  4 O 1.54-1.56
P 0.4655 0.2474 0.5046  4 O 1.54-1.56
P 0.4655 0.2526 0.0046  4 O 1.54-1.56
P 0.5345 0.7474 0.9954  4 O 1.54-1.56
P 0.5345 0.7526 0.4954  4 O 1.54-1.56
P 0.7448 0.1122 0.8523  4 O 1.54-1.56
P 0.7448 0.3878 0.3523  4 O 1.54-1.56
P 0.9621 0.6139 0.8491  4 O 1.52-1.57
P 0.9621 0.8861 0.3491  4 O 1.52-1.57
O 0.0010 0.5168 0.7762  1 P 1.56
O 0.0010 0.9832 0.2762  1 P 1.56
O 0.0414 0.2125 0.1750  1 P 1.57
O 0.0414 0.2875 0.6750  1 P 1.57
O 0.0483 0.6104 0.6126  1 P 1.55
O 0.0483 0.8896 0.1126  1 P 1.55
O 0.1147 0.5836 0.9684  1 P 1.52
O 0.1147 0.9164 0.4684  1 P 1.52
O 0.2366 0.0783 0.6808  1 P 1.54
O 0.2366 0.4217 0.1808  1 P 1.54
O 0.2736 0.5533 0.5569  1 P 1.54
O 0.2736 0.9467 0.0569  1 P 1.54
O 0.3286 0.1357 0.9179  1 P 1.55
O 0.3286 0.3643 0.4179  1 P 1.55
O 0.3384 0.7266 0.1819  1 P 1.54
O 0.3384 0.7734 0.6819  1 P 1.54
O 0.3419 0.6875 0.4055  1 P 1.54
O 0.3419 0.8125 0.9055  1 P 1.54
O 0.3693 0.1752 0.5550  1 P 1.54
O 0.3693 0.3248 0.0550  1 P 1.54
O 0.3688 0.5050 0.7482  1 P 1.56
O 0.3688 0.9950 0.2482  1 P 1.56
O 0.4819 0.1258 0.4343  1 P 1.56
O 0.4819 0.3742 0.9343  1 P 1.56
O 0.5181 0.6258 0.0657  1 P 1.56
O 0.5181 0.8742 0.5657  1 P 1.56
O 0.6312 0.0050 0.7518  1 P 1.56
O 0.6312 0.4950 0.2518  1 P 1.56
O 0.6307 0.6752 0.9450  1 P 1.54
O 0.6307 0.8248 0.4450  1 P 1.54
O 0.6581 0.1875 0.0945  1 P 1.54
O 0.6581 0.3125 0.5945  1 P 1.54
O 0.6616 0.2266 0.3181  1 P 1.54
O 0.6616 0.2734 0.8181  1 P 1.54
O 0.6714 0.6357 0.5821  1 P 1.55
O 0.6714 0.8643 0.0821  1 P 1.55
O 0.7264 0.0533 0.9431  1 P 1.54
O 0.7264 0.4467 0.4431  1 P 1.54
O 0.7634 0.5783 0.8192  1 P 1.54
O 0.7634 0.9217 0.3192  1 P 1.54
O 0.8853 0.0836 0.5316  1 P 1.52
O 0.8853 0.4164 0.0316  1 P 1.52
O 0.9517 0.1104 0.8874  1 P 1.55
O 0.9517 0.3896 0.3874  1 P 1.55
O 0.9586 0.7125 0.3250  1 P 1.57
O 0.9586 0.7875 0.8250  1 P 1.57
O 0.9990 0.0168 0.7238  1 P 1.56
O 0.9990 0.4832 0.2238  1 P 1.56

Output
Raw total energy: -6.82 eV/atom
Space group: P2_1/c (14)
Energy above the lowest structure with this stoichiometry: 0.09 eV/f.u.
Total moment: 0.00 μB per formula unit



Density functional theory data (PBE) for a geometry-optimized CsAsSe2 structure.

a = 6.8939 Å, b = 10.0962 Å, c = 17.1628 Å
α = 90.00°, β = 90.00°, γ = 90.00°
With the nearest neighbours (Å) after each atom.
Sites, in units of the cell vectors:
Cs 0.1397 0.1983 0.0793  8 Se 3.80-4.14, 2 As 3.99-4.03
Cs 0.1397 0.3017 0.5793  8 Se 3.80-4.14, 2 As 3.99-4.03
Cs 0.3603 0.6983 0.0793  8 Se 3.80-4.14, 2 As 3.99-4.03
Cs 0.3603 0.8017 0.5793  8 Se 3.80-4.14, 2 As 3.99-4.03
Cs 0.6397 0.1983 0.4207  8 Se 3.80-4.14, 2 As 3.99-4.03
Cs 0.6397 0.3017 0.9207  8 Se 3.80-4.14, 2 As 3.99-4.03
Cs 0.8603 0.6983 0.4207  8 Se 3.80-4.14, 2 As 3.99-4.03
Cs 0.8603 0.8017 0.9207  8 Se 3.80-4.14, 2 As 3.99-4.03
As 0.2330 0.0293 0.2885  3 Se 2.35-2.49
As 0.2330 0.4707 0.7885  3 Se 2.35-2.49
As 0.2670 0.5293 0.2885  3 Se 2.35-2.49
As 0.2670 0.9707 0.7885  3 Se 2.35-2.49
As 0.7330 0.0293 0.2115  3 Se 2.35-2.49
As 0.7330 0.4707 0.7115  3 Se 2.35-2.49
As 0.7670 0.5293 0.2115  3 Se 2.35-2.49
As 0.7670 0.9707 0.7115  3 Se 2.35-2.49
Se 0.0132 0.6254 0.7180  2 As 2.49
Se 0.0132 0.8746 0.2180  2 As 2.49
Se 0.1390 0.0234 0.4199  1 As 2.35
Se 0.1390 0.4766 0.9199  1 As 2.35
Se 0.3610 0.5234 0.4199  1 As 2.35
Se 0.3610 0.9766 0.9199  1 As 2.35
Se 0.4868 0.1254 0.7180  2 As 2.49
Se 0.4868 0.3746 0.2180  2 As 2.49
Se 0.5132 0.6254 0.7820  2 As 2.49
Se 0.5132 0.8746 0.2820  2 As 2.49
Se 0.6390 0.0234 0.0801  1 As 2.35
Se 0.6390 0.4766 0.5801  1 As 2.35
Se 0.8610 0.5234 0.0801  1 As 2.35
Se 0.8610 0.9766 0.5801  1 As 2.35
Se 0.9868 0.1254 0.7820  2 As 2.49
Se 0.9868 0.3746 0.2820  2 As 2.49

Output
Raw total energy: -3.77 eV/atom
Space group: Pbca (61)
Total moment: 0.00 μB per formula unit



Density functional theory data (PBE) for a geometry-optimized Pr7BP2O17 structure.

a = 6.9831 Å, b = 17.9387 Å, c = 13.5592 Å
α = 90.00°, β = 113.31°, γ = 90.00°
With the nearest neighbours (Å) after each atom.
Sites, in units of the cell vectors:
Pr 0.1869 0.1544 0.4273  6 O 2.34-2.54
Pr 0.1869 0.3456 0.9273  6 O 2.34-2.54
Pr 0.2007 0.0183 0.2115  7 O 2.35-2.62
Pr 0.2007 0.4817 0.7115  7 O 2.35-2.62
Pr 0.2033 0.2254 0.1792  6 O 2.31-2.56
Pr 0.2033 0.2746 0.6792  6 O 2.31-2.56
Pr 0.2208 0.1333 0.9299  3 O 2.30-2.49
Pr 0.2208 0.3667 0.4299  3 O 2.30-2.49
Pr 0.2837 0.5545 0.0096  4 O 2.28-2.46
Pr 0.2844 0.7233 0.5966  6 O 2.37-2.61
Pr 0.2844 0.7767 0.0966  6 O 2.37-2.61
Pr 0.2837 0.9455 0.5096  4 O 2.28-2.46
Pr 0.3068 0.6055 0.3023  7 O 2.37-2.63
Pr 0.3068 0.8945 0.8023  7 O 2.37-2.63
Pr 0.6932 0.1055 0.1977  7 O 2.37-2.63
Pr 0.6932 0.3945 0.6977  7 O 2.37-2.63
Pr 0.7163 0.0545 0.4904  4 O 2.28-2.46
Pr 0.7156 0.2233 0.9034  6 O 2.37-2.61
Pr 0.7156 0.2767 0.4034  6 O 2.37-2.61
Pr 0.7163 0.4455 0.9904  4 O 2.28-2.46
Pr 0.7792 0.6333 0.5701  3 O 2.30-2.49
Pr 0.7792 0.8667 0.0701  3 O 2.30-2.49
Pr 0.7967 0.7254 0.3208  6 O 2.31-2.56
Pr 0.7967 0.7746 0.8208  6 O 2.31-2.56
Pr 0.7993 0.5183 0.2885  7 O 2.35-2.62
Pr 0.7993 0.9817 0.7885  7 O 2.35-2.62
Pr 0.8131 0.6544 0.0727  6 O 2.34-2.54
Pr 0.8131 0.8456 0.5727  6 O 2.34-2.54
B 0.2495 0.5682 0.5004  3 O 1.38-1.42
B 0.2495 0.9318 0.0004  3 O 1.38-1.42
B 0.7505 0.0682 0.9996  3 O 1.38-1.42
B 0.7505 0.4318 0.4996  3 O 1.38-1.42
P 0.2205 0.0614 0.6831  4 O 1.53-1.57
P 0.2205 0.4386 0.1831  4 O 1.53-1.57
P 0.2855 0.6989 0.8369  4 O 1.55-1.57
P 0.2855 0.8011 0.3369  4 O 1.55-1.57
P 0.7145 0.1989 0.6631  4 O 1.55-1.57
P 0.7145 0.3011 0.1631  4 O 1.55-1.57
P 0.7795 0.5614 0.8169  4 O 1.53-1.57
P 0.7795 0.9386 0.3169  4 O 1.53-1.57
O 0.0335 0.0284 0.7024  1 P 1.55
O 0.0335 0.4716 0.2024  1 P 1.55
O 0.0494 0.1324 0.2410  4 Pr 2.31-2.41
O 0.0494 0.3676 0.7410  4 Pr 2.31-2.41
O 0.0926 0.2330 0.9913  4 Pr 2.30-2.43
O 0.0926 0.2670 0.4913  4 Pr 2.30-2.43
O 0.1243 0.6712 0.7274  1 P 1.55
O 0.1243 0.8288 0.2274  1 P 1.55
O 0.1443 0.0654 0.5578  1 P 1.57
O 0.1443 0.4346 0.0578  1 P 1.57
O 0.1603 0.5806 0.5733  1 B 1.38
O 0.1603 0.9194 0.0733  1 B 1.38
O 0.1722 0.7372 0.9014  1 P 1.55
O 0.1722 0.7628 0.4014  1 P 1.55
O 0.1925 0.5142 0.4204  1 B 1.39
O 0.1925 0.9858 0.9204  1 B 1.39
O 0.2021 0.6448 0.1195  4 Pr 2.40-2.54
O 0.2021 0.8552 0.6195  4 Pr 2.40-2.54
O 0.2874 0.1368 0.7382  1 P 1.53
O 0.2874 0.3632 0.2382  1 P 1.53
O 0.3203 0.1095 0.1251  4 Pr 2.35-2.49
O 0.3203 0.3905 0.6251  4 Pr 2.35-2.49
O 0.3645 0.0422 0.4034  4 Pr 2.28-2.46
O 0.3645 0.4578 0.9034  4 Pr 2.28-2.46
O 0.3674 0.2452 0.3744  3 Pr 2.34-2.46
O 0.3674 0.2548 0.8744  3 Pr 2.34-2.46
O 0.4019 0.6205 0.5010  1 B 1.42
O 0.4019 0.8795 0.0010  1 B 1.42
O 0.4039 0.0039 0.7231  1 P 1.56
O 0.4039 0.4961 0.2231  1 P 1.56
O 0.4228 0.6356 0.9068  1 P 1.55
O 0.4228 0.8644 0.4068  1 P 1.55
O 0.4242 0.7432 0.3078  1 P 1.57
O 0.4242 0.7568 0.8078  1 P 1.57
O 0.5758 0.2432 0.1922  1 P 1.57
O 0.5758 0.2568 0.6922  1 P 1.57
O 0.5772 0.1356 0.5932  1 P 1.55
O 0.5772 0.3644 0.0932  1 P 1.55
O 0.5961 0.5039 0.7769  1 P 1.56
O 0.5961 0.9961 0.2769  1 P 1.56
O 0.5981 0.1205 0.9990  1 B 1.42
O 0.5981 0.3795 0.4990  1 B 1.42
O 0.6326 0.7452 0.1256  3 Pr 2.34-2.46
O 0.6326 0.7548 0.6256  3 Pr 2.34-2.46
O 0.6355 0.5422 0.0966  4 Pr 2.28-2.46
O 0.6355 0.9578 0.5966  4 Pr 2.28-2.46
O 0.6797 0.6095 0.3749  4 Pr 2.35-2.49
O 0.6797 0.8905 0.8749  4 Pr 2.35-2.49
O 0.7126 0.6368 0.7618  1 P 1.53
O 0.7126 0.8632 0.2618  1 P 1.53
O 0.7979 0.1448 0.3805  4 Pr 2.40-2.54
O 0.7979 0.3552 0.8805  4 Pr 2.40-2.54
O 0.8075 0.0142 0.0796  1 B 1.39
O 0.8075 0.4858 0.5796  1 B 1.39
O 0.8278 0.2372 0.5986  1 P 1.55
O 0.8278 0.2628 0.0986  1 P 1.55
O 0.8397 0.0806 0.9267  1 B 1.38
O 0.8397 0.4194 0.4267  1 B 1.38
O 0.8557 0.5654 0.9422  1 P 1.57
O 0.8557 0.9346 0.4422  1 P 1.57
O 0.8757 0.1712 0.7726  1 P 1.55
O 0.8757 0.3288 0.2726  1 P 1.55
O 0.9074 0.7330 0.5087  4 Pr 2.30-2.43
O 0.9074 0.7670 0.0087  4 Pr 2.30-2.43
O 0.9506 0.6324 0.2590  4 Pr 2.31-2.41
O 0.9506 0.8676 0.7590  4 Pr 2.31-2.41
O 0.9665 0.5284 0.7976  1 P 1.55
O 0.9665 0.9716 0.2976  1 P 1.55

Output
Raw total energy: -8.13 eV/atom
Space group: P2_1/c (14)



Number 1: energy relative to the elements -10.67 eV per formula unit. Number 2: energy relative to the elements -22.63 eV per formula unit. Number 3: energy relative to the elements -45.43 eV per formula unit. Number 4: energy relative to the elements -3.46 eV per formula unit. Number 5: energy relative to the elements -96.15 eV per formula unit.